Entry 1:
LiV3P3H2O12: optimized geometry, PBE+U.

Unit cell a=12.052 b=12.472 c=6.685 alpha=90.00 beta=115.31 gamma=90.00
Space group C2/c (No. 15)
Symmetry-distinct sites (fractional):
Li 0.000 0.011 0.250 x4
V 0.000 0.287 0.750 x4
V 0.205 0.163 0.617 x8
P 0.000 0.324 0.250 x4
P 0.210 0.110 0.104 x8
H 0.123 0.498 0.813 x8
O 0.035 0.252 0.459 x8
O 0.108 0.397 0.265 x8
O 0.139 0.004 0.076 x8
O 0.151 0.173 0.884 x8
O 0.151 0.414 0.853 x8
O 0.213 0.176 0.300 x8

Results
Energy relative to the elements, eV/atom: -2.419
Volume, Å³/cell: 908.3
E_tot, eV/atom: -7.096
Spin magnetization, μB per atom: 0.43



Entry 2:
Ag2MoO4: optimized geometry, PBE+U.

Unit cell a=9.465 b=9.465 c=9.465 alpha=90.00 beta=90.00 gamma=90.00
Space group Fd-3m (No. 227, origin choice 2)
Symmetry-distinct sites (fractional):
Ag 0.000 0.000 0.000 x16
Mo 0.125 0.125 0.625 x8
O 0.015 0.015 0.735 x32

Results
Energy relative to the elements, eV/atom: -1.254
Volume, Å³/cell: 848.0
E_tot, eV/atom: -5.590



Entry 3:
Na4MgV4O10: optimized geometry, PBE+U.

Unit cell a=5.647 b=5.663 c=8.267 alpha=108.37 beta=107.04 gamma=90.81
Space group P1 (No. 1)
Symmetry-distinct sites (fractional):
Na 0.000 0.000 0.000 x1
Na 0.080 0.103 0.390 x1
Na 0.501 0.450 0.009 x1
Na 0.718 0.728 0.420 x1
Mg 0.491 0.360 0.520 x1
V 0.093 0.575 0.211 x1
V 0.405 0.789 0.720 x1
V 0.584 0.060 0.201 x1
V 0.965 0.416 0.731 x1
O 0.010 0.375 0.944 x1
O 0.220 0.803 0.513 x1
O 0.287 0.451 0.689 x1
O 0.342 0.829 0.203 x1
O 0.344 0.343 0.274 x1
O 0.425 0.002 0.934 x1
O 0.719 0.673 0.695 x1
O 0.755 0.158 0.506 x1
O 0.813 0.312 0.220 x1
O 0.813 0.795 0.168 x1

Results
Energy relative to the elements, eV/atom: -2.209
Volume, Å³/cell: 238.2
E_tot, eV/atom: -6.369
Spin magnetization, μB per atom: 0.32



Q: What is the energy relative to the elements in the second record?
A: -1.254 eV/atom